Entry 1:
A plane-wave DFT calculation with PBE-GGA was carried out for a relaxed structure of CeGa2Ni2.

Cell lengths 4.0989, 4.0989, 5.8209 Å; angles 110.61, 110.61, 90.00 degrees
Atoms (fractional coordinates):
Ce 0.0000 0.0000 0.0000
Ga 0.3727 0.3727 0.7454
Ga 0.6273 0.6273 0.2546
Ni 0.2500 0.7500 0.5000
Ni 0.7500 0.2500 0.5000

Computed properties:
Symmetry ... I4/mmm (139)
ΔH_f (0 K) ... -0.4910 eV/atom
Total DFT energy (no corrections) ... -26.00 eV/cell
Size of the total moment ... 0.05 μB per formula unit


Entry 2:
A plane-wave DFT calculation with PBE-GGA was carried out for a relaxed structure of Cd3B2O6.

Cell lengths 6.2223, 6.2638, 7.5561 Å; angles 76.41, 80.64, 82.24 degrees
Atoms (fractional coordinates):
Cd 0.2708 0.9354 0.4409
Cd 0.7292 0.0646 0.5591
Cd 0.6259 0.2395 0.9984
Cd 0.3741 0.7605 0.0016
Cd 0.8672 0.5570 0.2941
Cd 0.1328 0.4430 0.7059
B 0.6202 0.5654 0.6387
B 0.3798 0.4346 0.3613
B 0.0881 0.1674 0.1268
B 0.9119 0.8326 0.8732
O 0.6085 0.7552 0.4970
O 0.3915 0.2448 0.5030
O 0.4635 0.5300 0.7936
O 0.5365 0.4700 0.2064
O 0.3074 0.0737 0.1187
O 0.6926 0.9263 0.8813
O 0.7933 0.4044 0.6154
O 0.2067 0.5956 0.3846
O 0.9895 0.2554 0.9726
O 0.0105 0.7446 0.0274
O 0.9770 0.1714 0.3021
O 0.0230 0.8286 0.6979

Computed properties:
Symmetry ... P-1 (2)
ΔH_f (0 K) ... -2.0909 eV/atom
Total energy after the MP2020 corrections ... -137.6 eV per cell
Total DFT energy (no corrections) ... -129.39 eV/cell


Entry 3:
A plane-wave DFT calculation with PBE-GGA was carried out for a relaxed structure of SiO2.

Cell lengths 8.8530, 7.4706, 17.4313 Å; angles 65.81, 90.00, 90.00 degrees
Atoms (fractional coordinates):
Si 0.6543 0.7293 0.9201
Si 0.6543 0.2707 0.5799
Si 0.6486 0.2890 0.3207
Si 0.3457 0.2707 0.0799
Si 0.4963 0.0000 0.7500
Si 0.6486 0.7110 0.1793
Si 0.6036 0.3101 0.9443
Si 0.8253 0.0647 0.4907
Si 0.1747 0.0647 0.9907
Si 0.3457 0.7293 0.4201
Si 0.3964 0.6899 0.0557
Si 0.3514 0.2890 0.8207
Si 0.5037 0.0000 0.2500
Si 0.3514 0.7110 0.6793
Si 0.8253 0.9353 0.0093
Si 0.3964 0.3101 0.4443
Si 0.6036 0.6899 0.5557
Si 0.1747 0.9353 0.5093
O 0.2209 0.1948 0.8925
O 0.7221 0.8684 0.5294
O 0.3894 0.1269 0.1750
O 0.6946 0.5137 0.9234
O 0.6143 0.8595 0.2242
O 0.3054 0.5137 0.4234
O 0.6946 0.4863 0.5766
O 0.7791 0.8052 0.1075
O 0.6143 0.1405 0.2758
O 0.5094 0.2745 0.5222
O 0.3894 0.8731 0.3250
O 0.1991 0.8074 0.4535
O 0.5075 0.3228 0.8628
O 0.5094 0.7255 0.9778
O 0.2779 0.8684 0.0294
O 0.3054 0.4863 0.0766
O 0.3857 0.8595 0.7242
O 0.4925 0.3228 0.3628
O 0.5075 0.6772 0.6372
O 0.7221 0.1316 0.9706
O 0.6106 0.8731 0.8250
O 0.4925 0.6772 0.1372
O 0.0000 0.0000 0.0000
O 0.3857 0.1405 0.7758
O 0.6106 0.1269 0.6750
O 0.2209 0.8052 0.6075
O 0.7791 0.1948 0.3925
O 0.4906 0.2745 0.0222
O 0.1991 0.1926 0.0465
O 0.2937 0.5000 0.7500
O 0.4906 0.7255 0.4778
O 0.0000 0.0000 0.5000
O 0.7063 0.5000 0.2500
O 0.2779 0.1316 0.4706
O 0.8009 0.1926 0.5465
O 0.8009 0.8074 0.9535

Computed properties:
Symmetry ... P2/c (13)
ΔH_f (0 K) ... -3.2467 eV/atom
Total energy after the MP2020 corrections ... -451.1 eV per cell
Total DFT energy (no corrections) ... -426.37 eV/cell


Entry 4:
A plane-wave DFT calculation with PBE-GGA was carried out for a relaxed structure of K2SiF6.

Cell lengths 5.8333, 5.8333, 5.8333 Å; angles 60.00, 60.00, 60.00 degrees
Atoms (fractional coordinates):
K 0.7500 0.7500 0.7500
K 0.2500 0.2500 0.2500
Si 0.0000 0.0000 0.0000
F 0.7915 0.2085 0.2085
F 0.2085 0.7915 0.2085
F 0.7915 0.2085 0.7915
F 0.2085 0.7915 0.7915
F 0.2085 0.2085 0.7915
F 0.7915 0.7915 0.2085

Computed properties:
Symmetry ... Fm-3m (225)
ΔH_f (0 K) ... -3.4299 eV/atom
Total energy after the MP2020 corrections ... -50.0 eV per cell
Total DFT energy (no corrections) ... -47.23 eV/cell


Entry 5:
A plane-wave DFT calculation with PBE-GGA was carried out for a relaxed structure of MgH2.

Cell lengths 4.8232, 4.8232, 4.8232 Å; angles 90.00, 90.00, 90.00 degrees
Atoms (fractional coordinates):
Mg 0.5000 0.5000 0.0000
Mg 0.5000 0.0000 0.5000
Mg 0.0000 0.5000 0.5000
Mg 0.0000 0.0000 0.0000
H 0.1519 0.8481 0.3481
H 0.8481 0.3481 0.1519
H 0.3481 0.1519 0.8481
H 0.6519 0.6519 0.6519
H 0.8481 0.1519 0.6519
H 0.1519 0.6519 0.8481
H 0.6519 0.8481 0.1519
H 0.3481 0.3481 0.3481

Computed properties:
Symmetry ... Pa-3 (205)
ΔH_f (0 K) ... -0.2633 eV/atom
Total energy after the MP2020 corrections ... -36.7 eV per cell
Total DFT energy (no corrections) ... -35.27 eV/cell


Entry 6:
A plane-wave DFT calculation with PBE-GGA was carried out for a relaxed structure of Ce3Al.

Cell lengths 6.7112, 6.7112, 5.2784 Å; angles 90.00, 90.00, 120.00 degrees
Atoms (fractional coordinates):
Ce 0.8163 0.6326 0.2500
Ce 0.1837 0.8163 0.7500
Ce 0.6326 0.8163 0.7500
Ce 0.3674 0.1837 0.2500
Ce 0.8163 0.1837 0.2500
Ce 0.1837 0.3674 0.7500
Al 0.3333 0.6667 0.2500
Al 0.6667 0.3333 0.7500

Computed properties:
Symmetry ... P6_3/mmc (194)
ΔH_f (0 K) ... -0.1644 eV/atom
Total DFT energy (no corrections) ... -44.40 eV/cell
Distance to the lowest polymorph of the same formula ... 0 meV per atom


Entry 7:
A plane-wave DFT calculation with PBE-GGA was carried out for a relaxed structure of MgGe3.

Cell lengths 5.9136, 5.9136, 5.9136 Å; angles 142.99, 139.33, 56.15 degrees
Atoms (fractional coordinates):
Mg 0.2094 0.5000 0.7094
Ge 0.7360 0.7741 0.9620
Ge 0.1879 0.2259 0.9620
Ge 0.7000 0.0000 0.7000

Computed properties:
Symmetry ... Imm2 (44)
ΔH_f (0 K) ... 0.0815 eV/atom
Total DFT energy (no corrections) ... -15.14 eV/cell
Size of the total moment ... 0.00 μB per formula unit


Entry 8:
A plane-wave DFT calculation with PBE-GGA was carried out for a relaxed structure of K4Ga8P8O32F.

Cell lengths 13.4912, 13.4912, 8.8311 Å; angles 90.00, 90.00, 90.00 degrees
Atoms (fractional coordinates):
K 0.3328 0.7455 0.9936
K 0.6672 0.2545 0.9936
K 0.7545 0.8328 0.4936
K 0.2455 0.1672 0.4936
K 0.1672 0.7545 0.5064
K 0.8328 0.2455 0.5064
K 0.7455 0.6672 0.0064
K 0.2545 0.3328 0.0064
Ga 0.1187 0.5676 0.1596
Ga 0.8813 0.4324 0.1596
Ga 0.9324 0.6187 0.6596
Ga 0.0676 0.3813 0.6596
Ga 0.3813 0.9324 0.3404
Ga 0.6187 0.0676 0.3404
Ga 0.5676 0.8813 0.8404
Ga 0.4324 0.1187 0.8404
Ga 0.0570 0.1352 0.1546
Ga 0.9430 0.8648 0.1546
Ga 0.3648 0.5570 0.6546
Ga 0.6352 0.4430 0.6546
Ga 0.4430 0.3648 0.3454
Ga 0.5570 0.6352 0.3454
Ga 0.1352 0.9430 0.8454
Ga 0.8648 0.0570 0.8454
P 0.0734 0.3560 0.3033
P 0.9266 0.6440 0.3033
P 0.1440 0.5734 0.8033
P 0.8560 0.4266 0.8033
P 0.4266 0.1440 0.1967
P 0.5734 0.8560 0.1967
P 0.3560 0.9266 0.6967
P 0.6440 0.0734 0.6967
P 0.8352 0.0690 0.2033
P 0.1648 0.9310 0.2033
P 0.4310 0.3352 0.7033
P 0.5690 0.6648 0.7033
P 0.6648 0.4310 0.2967
P 0.3352 0.5690 0.2967
P 0.0690 0.1648 0.7967
P 0.9310 0.8352 0.7967
O 0.1132 0.4264 0.1760
O 0.8868 0.5736 0.1760
O 0.0736 0.6132 0.6760
O 0.9264 0.3868 0.6760
O 0.3868 0.0736 0.3240
O 0.6132 0.9264 0.3240
O 0.4264 0.8868 0.8240
O 0.5736 0.1132 0.8240
O 0.1136 0.3937 0.4579
O 0.8864 0.6063 0.4579
O 0.1063 0.6136 0.9579
O 0.8937 0.3864 0.9579
O 0.3864 0.1063 0.0421
O 0.6136 0.8937 0.0421
O 0.3937 0.8864 0.5421
O 0.6063 0.1136 0.5421
O 0.9572 0.3593 0.3029
O 0.0428 0.6407 0.3029
O 0.1407 0.4572 0.8029
O 0.8593 0.5428 0.8029
O 0.5428 0.1407 0.1971
O 0.4572 0.8593 0.1971
O 0.3593 0.0428 0.6971
O 0.6407 0.9572 0.6971
O 0.1104 0.2491 0.2726
O 0.8896 0.7509 0.2726
O 0.2509 0.6104 0.7726
O 0.7491 0.3896 0.7726
O 0.3896 0.2509 0.2274
O 0.6104 0.7491 0.2274
O 0.2491 0.8896 0.7274
O 0.7509 0.1104 0.7274
O 0.9289 0.1290 0.2492
O 0.0711 0.8710 0.2492
O 0.3710 0.4289 0.7492
O 0.6290 0.5711 0.7492
O 0.5711 0.3710 0.2508
O 0.4289 0.6290 0.2508
O 0.1290 0.0711 0.7508
O 0.8710 0.9289 0.7508
O 0.8045 0.0901 0.0363
O 0.1955 0.9099 0.0363
O 0.4099 0.3045 0.5363
O 0.5901 0.6955 0.5363
O 0.6955 0.4099 0.4637
O 0.3045 0.5901 0.4637
O 0.0901 0.1955 0.9637
O 0.9099 0.8045 0.9637
O 0.7504 0.1101 0.3059
O 0.2496 0.8899 0.3059
O 0.3899 0.2504 0.8059
O 0.6101 0.7496 0.8059
O 0.7496 0.3899 0.1941
O 0.2504 0.6101 0.1941
O 0.1101 0.2496 0.6941
O 0.8899 0.7504 0.6941
O 0.8480 0.9564 0.2364
O 0.1520 0.0436 0.2364
O 0.5436 0.3480 0.7364
O 0.4564 0.6520 0.7364
O 0.6520 0.5436 0.2636
O 0.3480 0.4564 0.2636
O 0.9564 0.1520 0.7636
O 0.0436 0.8480 0.7636
F 0.0000 0.0000 0.0000
F 0.5000 0.5000 0.5000

Computed properties:
Symmetry ... P4_2/n (86)
ΔH_f (0 K) ... -2.5072 eV/atom
Total energy after the MP2020 corrections ... -730.2 eV per cell
Total DFT energy (no corrections) ... -685.32 eV/cell
Size of the total moment ... 0.01 μB per formula unit